LiMnCo3O8: optimized geometry, GGA+U.

Unit cell a=5.680 b=5.999 c=9.843 alpha=73.61 beta=89.89 gamma=62.27
Fractional coordinates of all 26 atoms:
Li 0.000 0.000 0.000
Li 0.496 0.014 0.477
Mn 0.247 0.509 0.738
Mn 0.746 0.504 0.243
Co 0.246 0.506 0.240
Co 0.495 0.510 0.490
Co 0.496 0.506 0.990
Co 0.747 0.509 0.739
Co 0.997 0.507 0.990
Co 0.997 0.510 0.489
O 0.089 0.312 0.858
O 0.095 0.310 0.361
O 0.150 0.694 0.375
O 0.150 0.704 0.877
O 0.338 0.319 0.102
O 0.339 0.314 0.605
O 0.397 0.702 0.119
O 0.405 0.706 0.624
O 0.589 0.310 0.359
O 0.597 0.312 0.857
O 0.653 0.705 0.374
O 0.655 0.694 0.876
O 0.838 0.327 0.607
O 0.844 0.308 0.103
O 0.895 0.706 0.622
O 0.903 0.701 0.119

Values from the calculation:
electronic total energy	-6.072	eV per atom
distance to the lowest polymorph of the same formula	0.005	eV per atom